6
Lattice="-5.650 0.000 0.000 2.825 -2.825 -4.352 0.000 -5.650 0.000" Properties=species:S:1:pos:R:3 comment="SiS2 (PBE, optimized geometry)" e_ij_max_c_m2=0.13 pbc="T T T"
Si 0.000 0.000 0.000
S -1.413 -4.445 -1.088
S -1.620 -7.063 -3.264
Si -2.825 -5.650 -2.176
S 1.620 -4.238 -3.264
S -4.238 -1.205 -1.088

=====

10
Lattice="-3.957 -2.404 -0.869 2.396 -5.283 3.703 -3.030 2.628 6.523" Properties=species:S:1:pos:R:3 comment="SiS4 (PBE, optimized geometry)" total_magnetization_mub_per_atom=0.000 pbc="T T T"
S -2.820 -3.015 7.755
S -4.596 -4.094 7.365
S -1.770 -2.044 1.602
Si -1.483 -2.153 6.322
S 0.005 -0.965 1.992
S -2.333 -4.587 4.158
Si -3.108 -2.906 3.035
S -2.257 -0.472 5.199
S -0.389 -3.494 5.051
S -4.202 -1.565 4.306

=====

VASP calculation (PBE) on crystalline SiS2 at its relaxed geometry.

Geometry as extended XYZ:
```
6
Lattice="5.585 0.000 0.000 0.000 6.214 0.000 -2.793 -3.107 5.463" Properties=species:S:1:pos:R:3 pbc="T T T"
Si 4.189 0.000 0.000
Si 1.396 0.000 0.000
S 0.000 -1.954 4.311
S 0.000 1.153 1.152
S 2.793 5.061 1.152
S 2.793 1.954 4.311
```

=====

VASP calculation (PBE) on crystalline Sm6Si4S17 at its relaxed geometry.

Geometry as extended XYZ:
```
54
Lattice="-0.730 1.628 -8.758 -7.599 -6.291 -0.715 -10.481 9.351 1.940" Properties=species:S:1:pos:R:3 pbc="T T T"
S -8.448 -5.194 -3.591
S -8.965 3.901 -5.316
Sm -11.871 3.513 -4.967
S -10.603 1.058 -5.738
S -8.207 3.629 -1.794
Sm -11.528 5.370 0.377
Sm -2.414 1.179 -0.500
Si -14.259 6.145 -5.380
S -5.671 5.579 -6.256
Si -4.551 -1.457 -2.153
S -8.543 1.932 -8.266
Sm -7.282 -0.683 -7.910
S -8.129 -2.418 -5.677
S -13.139 -0.892 -1.277
Sm -16.396 3.508 -7.033
S -5.216 2.111 -0.438
S -10.141 -1.260 -8.280
Si -10.301 8.658 -0.428
S -3.009 1.859 -6.319
Si -10.102 2.715 -1.415
Sm -7.834 6.554 -1.912
Sm -10.976 -1.866 -5.621
S -13.119 1.145 -3.924
Si -8.509 -3.971 -7.105
S -10.362 9.882 -3.942
S -4.144 0.398 -3.120
Sm -5.955 -3.889 -4.464
S -7.656 -3.327 -8.939
Si -14.064 0.913 -5.808
S -11.154 8.015 1.406
Sm -12.855 8.576 -3.069
S -5.691 3.542 -3.609
S -10.280 -2.450 -2.822
S -10.681 7.105 -1.856
S -11.730 3.846 -2.118
S -7.080 0.841 -5.415
S -12.169 6.573 -5.225
S -9.845 0.787 -2.217
S -8.530 7.137 -4.711
Si -4.746 3.774 -1.725
Sm -8.116 5.153 -7.779
Sm -10.694 -0.466 0.246
S -13.923 6.422 -1.312
S -6.641 -1.886 -2.308
S -4.888 -1.735 -6.221
S -13.594 2.576 -7.095
S -10.267 2.756 0.733
S -4.073 -1.251 -0.118
S -14.737 5.939 -7.415
S -14.667 4.289 -4.413
S -15.801 2.828 -1.214
Si -8.708 1.973 -6.118
Sm -6.940 1.175 -2.566
S -8.669 5.947 0.748
```

=====

VASP calculation (PBE) on crystalline Sm4Si3S12 at its relaxed geometry.

Geometry as extended XYZ:
```
38
Lattice="5.077 10.091 -1.049 -11.100 -0.005 -2.347 2.900 -5.840 9.284" Properties=species:S:1:pos:R:3 pbc="T T T"
S 0.069 4.839 1.832
S 2.955 6.151 0.705
S 4.971 4.074 6.751
Sm -4.176 2.554 -0.909
S -5.087 7.716 -1.210
Si -0.860 4.517 -0.038
S -7.817 -0.948 1.671
Si 5.876 4.896 5.028
Si 1.740 0.516 4.225
S 2.311 5.488 4.168
S -0.098 0.083 5.173
S -1.955 -0.544 2.037
Sm -7.011 -3.040 3.389
S 0.586 -3.077 6.104
S -2.665 5.641 -0.139
Sm 4.874 1.107 6.701
S 0.252 8.028 -0.523
S -0.463 3.484 5.226
S -6.113 -3.319 6.205
Si -6.161 6.332 -2.391
Si -4.126 -0.620 1.934
Sm -1.567 2.131 2.955
Sm -0.005 0.007 0.010
S -6.697 1.218 -0.856
S -3.478 1.563 5.013
S 3.031 -0.916 7.400
Sm -1.373 -2.393 4.145
Sm -2.204 7.836 -1.904
S -4.638 1.425 1.797
S -1.506 2.446 0.119
S -4.732 -1.380 3.828
S 1.092 1.318 2.310
Si -4.521 -4.691 6.428
S -3.111 4.542 3.059
S -2.601 -1.517 6.616
S -5.805 4.317 0.709
Sm 2.769 3.619 2.007
S 2.678 2.154 5.208
```

=====

28
Lattice="-7.447 0.000 3.750 0.000 -8.465 0.000 7.445 0.000 7.589" Properties=species:S:1:pos:R:3 comment="SiSn2S4 (PBE, optimized geometry)" total_magnetization_mub_per_atom=0.000 pbc="T T T"
S -5.600 -8.156 3.954
S 2.239 -7.451 8.004
S -4.064 -1.536 6.570
S 5.599 -0.309 7.385
Sn 3.348 -1.307 6.213
S -2.241 -3.219 9.005
S -0.494 -1.140 6.869
Sn -0.041 -6.296 1.255
Sn -0.042 -6.401 6.924
S -0.493 -3.093 1.199
S -2.240 -1.014 3.335
S 1.846 -4.541 5.873
Sn 0.040 -2.169 10.085
Si -2.186 -2.430 6.997
Sn -4.097 -2.926 4.293
Si 2.185 -6.035 4.342
S 3.382 -2.697 8.489
Sn -3.350 -7.158 5.127
Sn 4.096 -5.539 7.046
Si -2.186 -1.802 1.327
S 0.492 -7.325 4.471
S 4.062 -6.929 4.769
Sn 0.041 -2.064 4.415
S 2.240 -5.246 2.334
Si 2.184 -6.663 10.012
S -3.384 -5.768 2.850
S 0.491 -5.372 10.140
S -1.847 -3.924 5.466

=====

VASP calculation (PBE) on crystalline Sr2SiS4 at its relaxed geometry.

Geometry as extended XYZ:
```
14
Lattice="-5.014 2.990 3.262 1.417 -3.580 5.459 5.482 4.264 4.518" Properties=species:S:1:pos:R:3 pbc="T T T"
S -0.747 0.628 1.703
S 4.737 1.417 6.014
S 2.342 3.139 4.150
Sr -3.088 1.463 4.195
S -0.457 0.534 9.090
Si -1.636 0.511 7.299
S 2.632 3.045 11.537
Sr -0.316 3.832 6.284
Sr 2.201 -0.159 6.955
S -0.368 0.775 5.609
S -2.852 2.257 7.226
Si 3.521 3.163 5.940
S 2.253 2.898 7.630
Sr 4.973 2.210 9.045
```

=====

45
Lattice="-1.576 0.895 -9.681 8.972 -2.144 -6.667 0.379 -9.694 -5.966" Properties=species:S:1:pos:R:3 comment="Tb12Si5S28 (PBE, optimized geometry)" total_magnetization_mub_per_atom=0.000 pbc="T T T"
Tb 8.263 -8.582 -12.638
Tb 3.900 -2.610 -6.327
Tb -0.738 -2.338 -9.648
S -0.290 -4.923 -8.553
S 8.449 -4.042 -8.537
S -0.223 -0.337 -4.682
Si 2.344 -7.965 -6.135
S 6.629 -8.636 -10.256
S 7.725 -5.838 -11.816
S 1.086 -6.701 -11.115
S 4.775 -4.253 -8.275
S 5.721 -7.929 -13.558
Si 4.983 -8.176 -11.556
Tb 6.672 -6.035 -9.057
S 1.211 -2.174 -7.263
S 3.412 -9.594 -11.452
S 3.145 -0.431 -12.137
Tb 5.448 -5.055 -13.525
Si 3.542 -2.045 -10.781
S 5.376 -2.925 -11.438
Tb 1.894 -0.395 -2.836
S 4.431 -6.187 -11.027
S 6.729 -11.122 -12.470
Tb 5.466 -1.045 -13.632
S 1.879 -3.360 -10.633
Si -0.760 -5.836 -10.435
Tb 4.195 -8.266 -16.046
S 7.126 -3.063 -14.332
Tb 1.264 -4.678 -13.142
Tb 2.460 -5.640 -8.915
Tb 1.026 -9.049 -13.057
S 2.012 -5.673 -6.118
S 5.534 -5.847 -16.154
Si 0.348 -2.321 -5.311
S 1.162 -9.432 -15.777
S -0.742 -7.096 -13.948
S 3.479 -3.310 -14.110
S 2.050 -2.858 -4.128
S -1.149 -4.243 -11.806
S 6.700 -9.455 -16.994
S 3.811 -7.874 -7.945
S 3.994 -1.094 -8.920
S 0.627 -8.077 -7.790
Tb 6.718 -2.060 -9.115
S 2.492 -6.965 -14.259

=====

VASP calculation (PBE) on crystalline Tb4Si3S12 at its relaxed geometry.

Geometry as extended XYZ:
```
76
Lattice="11.136 0.000 0.000 0.000 9.970 0.000 0.000 6.064 16.136" Properties=species:S:1:pos:R:3 pbc="T T T"
Si 5.030 1.717 1.921
S 3.801 12.254 7.241
Tb 4.146 11.303 13.963
S 5.876 2.560 3.709
S 2.685 6.021 0.224
Si 9.803 2.792 0.955
S 5.105 6.760 3.011
Tb 3.901 8.479 0.958
S 10.827 5.592 11.777
S 7.907 9.878 10.261
S 8.042 8.733 4.975
S 5.800 12.830 15.706
Si 2.379 9.179 11.831
S 10.523 12.716 15.715
Si 10.597 11.286 6.146
Tb 9.468 4.523 7.109
Tb 9.714 7.763 10.240
S 8.631 12.009 5.986
Si 7.947 9.888 12.372
Si 8.757 6.856 4.304
Si 4.235 10.210 7.113
S 8.662 11.765 13.043
S 1.767 15.286 15.309
Tb 2.916 5.098 12.760
S 7.260 6.485 11.032
S 7.427 5.323 5.051
Si 1.333 13.242 15.181
S 9.444 3.453 2.964
Tb 1.667 11.511 9.026
Tb 1.422 8.271 5.896
Si 6.106 14.318 14.214
S 2.340 9.189 13.942
S 6.181 9.684 7.647
Si 3.189 6.147 3.763
S 9.369 0.748 0.827
S 5.336 3.205 0.430
Tb 2.651 2.066 4.692
S 2.505 4.025 10.149
S 6.294 9.994 1.499
S 3.228 6.157 5.874
S 10.904 9.798 7.638
S 1.859 7.679 3.016
S 5.260 13.475 12.426
Tb 0.210 5.577 2.026
S 0.232 6.237 8.498
S 0.726 3.008 6.569
S 4.955 6.350 8.488
Si 6.901 5.825 9.023
S 8.072 15.041 14.054
Tb 10.926 10.457 14.109
S 3.709 10.711 11.084
Tb 5.778 7.425 6.041
S 4.842 6.040 14.637
S 3.876 9.549 5.104
S 10.410 13.026 9.567
Tb 5.358 8.609 10.094
S 0.308 10.443 4.358
S 1.692 12.581 13.171
Tb 7.235 7.555 15.177
Tb 8.484 13.969 11.443
S 0.463 9.792 11.079
S 9.277 8.355 13.119
S 0.613 3.318 0.420
Tb 6.990 4.731 2.172
S 8.796 6.846 2.193
S 3.063 0.993 2.081
S 8.451 10.013 15.911
S 3.094 7.301 11.160
S 2.883 9.053 8.292
Si 0.538 4.749 9.989
S 8.253 6.981 7.844
S 10.672 6.242 5.057
S 6.031 9.274 13.124
S 7.335 3.780 8.895
Tb 8.219 10.937 3.376
S 2.474 4.269 3.093
```

=====

18
Lattice="-8.572 -1.552 -0.897 0.501 -2.818 -8.277 -1.031 -7.739 0.061" Properties=species:S:1:pos:R:3 comment="Tl4SiS4 (PBE, optimized geometry)" e_ij_max_c_m2=0.69 pbc="T T T"
Tl -8.433 -2.882 -3.060
Tl -2.355 -7.671 -8.392
Si -5.736 -5.614 -2.196
Tl -6.615 -4.061 -7.215
Tl -8.612 -6.846 -4.336
S -5.540 -3.856 -0.982
Tl -6.917 -7.961 -7.359
S -7.283 -6.879 -1.434
S -2.026 -3.020 -3.354
S -1.054 -8.423 -5.018
Tl -4.804 -1.996 -3.570
Tl -3.183 -3.662 -8.363
S -0.632 -3.866 -6.454
S -6.237 -4.974 -4.181
S -4.204 -9.200 -6.224
Tl -3.390 -6.135 -5.109
S -3.878 -6.703 -2.236
Si -1.453 -2.270 -5.290

=====

6
Lattice="3.763 0.000 0.000 0.000 3.763 0.000 0.000 0.000 8.005" Properties=species:S:1:pos:R:3 comment="USiS (PBE, optimized geometry)" total_magnetization_mub_per_atom=0.615 pbc="T T T"
S 1.881 0.000 2.841
S 0.000 1.881 5.164
Si 0.000 0.000 0.000
U 0.000 1.881 2.354
U 1.881 0.000 5.651
Si 1.881 1.881 0.000

=====

10
Lattice="3.689 4.820 -2.975 -5.051 0.310 4.482 4.763 -2.838 3.867" Properties=species:S:1:pos:R:3 comment="U5SiS4 (PBE, optimized geometry)" total_magnetization_mub_per_atom=1.083 pbc="T T T"
U -1.623 1.595 3.205
U 1.863 2.913 1.869
S 0.903 1.958 4.251
Si -0.681 2.565 0.753
S 2.499 0.334 1.122
U 5.025 0.697 2.169
S 0.664 -1.569 5.943
U 0.000 0.000 0.000
S 2.737 3.861 -0.570
U 1.538 -0.621 3.504

=====

6
Lattice="-3.838 -0.080 -1.331 -1.267 -1.044 3.716 -0.733 6.919 1.695" Properties=species:S:1:pos:R:3 comment="USiS (PBE, optimized geometry)" total_magnetization_mub_per_atom=0.000 pbc="T T T"
U -2.102 1.683 -0.244
Si -2.384 4.355 0.411
U -1.184 4.674 3.131
Si -0.901 2.002 2.477
S 0.000 0.000 0.000
S -2.553 -0.562 1.193

=====

VASP calculation (PBE) on crystalline Y3SiS2 at its relaxed geometry.

Geometry as extended XYZ:
```
6
Lattice="-2.012 2.816 5.984 2.012 -2.816 5.984 2.012 2.816 -5.984" Properties=species:S:1:pos:R:3 pbc="T T T"
Y 2.012 0.000 1.972
S 0.000 0.000 3.990
Si 0.000 0.000 0.000
Y 0.000 2.816 0.000
S 0.000 0.000 7.977
Y 0.000 2.816 4.012
```

=====

Number 1: final energy -15.57 eV per formula unit. Number 2: final energy -22.24 eV per formula unit. Number 3: final energy -15.73 eV per formula unit. Number 4: final energy -159.43 eV per formula unit. Number 5: final energy -111.37 eV per formula unit. Number 6: final energy -33.74 eV per formula unit. Number 7: final energy -36.35 eV per formula unit. Number 8: final energy -270.28 eV per formula unit. Number 9: final energy -111.33 eV per formula unit. Number 10: final energy -36.24 eV per formula unit. Number 11: final energy -23.70 eV per formula unit. Number 12: final energy -89.52 eV per formula unit. Number 13: final energy -21.97 eV per formula unit. Number 14: final energy -43.02 eV per formula unit.